Computed, not measured: an optimized crystal structure of InP3O9 at the GGA-PBE level of DFT.

Unit cell a=12.130 b=12.130 c=9.849 alpha=110.02 beta=110.02 gamma=110.72
Element x y z (fractional)
In1 0.078 0.922 0.500
In2 0.260 0.772 0.033
In3 0.409 0.587 0.499
In4 0.587 0.409 0.999
In5 0.772 0.260 0.533
In6 0.922 0.078 0.000
P1 0.057 0.439 0.245
P2 0.057 0.667 0.190
P3 0.114 0.176 0.831
P4 0.132 0.413 0.790
P5 0.176 0.114 0.331
P6 0.324 0.381 0.665
P7 0.381 0.324 0.165
P8 0.413 0.132 0.290
P9 0.439 0.057 0.745
P10 0.453 0.851 0.851
P11 0.519 0.793 0.347
P12 0.667 0.057 0.690
P13 0.712 0.762 0.226
P14 0.725 0.998 0.181
P15 0.762 0.712 0.726
P16 0.793 0.519 0.847
P17 0.851 0.453 0.351
P18 0.998 0.725 0.681
O1 0.025 0.514 0.142
O2 0.026 0.303 0.120
O3 0.054 0.730 0.349
O4 0.064 0.850 0.669
O5 0.073 0.737 0.847
O6 0.096 0.984 0.325
O7 0.113 0.113 0.169
O8 0.113 0.113 0.669
O9 0.158 0.333 0.888
O10 0.178 0.553 0.925
O11 0.185 0.752 0.196
O12 0.198 0.538 0.407
O13 0.199 0.243 0.483
O14 0.239 0.436 0.728
O15 0.243 0.199 0.983
O16 0.303 0.026 0.620
O17 0.324 0.988 0.136
O18 0.333 0.158 0.388
O19 0.343 0.397 0.280
O20 0.345 0.764 0.873
O21 0.397 0.343 0.780
O22 0.403 0.942 0.795
O23 0.411 0.485 0.638
O24 0.417 0.685 0.356
O25 0.436 0.239 0.228
O26 0.460 0.838 0.231
O27 0.485 0.411 0.138
O28 0.486 0.776 0.730
O29 0.514 0.025 0.642
O30 0.538 0.198 0.907
O31 0.553 0.178 0.425
O32 0.592 0.972 0.032
O33 0.611 0.741 0.299
O34 0.622 0.659 0.584
O35 0.636 0.926 0.534
O36 0.659 0.622 0.084
O37 0.679 0.842 0.131
O38 0.685 0.417 0.856
O39 0.730 0.054 0.849
O40 0.737 0.073 0.347
O41 0.741 0.611 0.799
O42 0.752 0.185 0.696
O43 0.764 0.345 0.373
O44 0.776 0.486 0.230
O45 0.838 0.460 0.731
O46 0.842 0.679 0.631
O47 0.849 0.858 0.872
O48 0.850 0.064 0.169
O49 0.858 0.849 0.372
O50 0.926 0.636 0.034
O51 0.942 0.403 0.295
O52 0.972 0.592 0.532
O53 0.984 0.096 0.825
O54 0.988 0.324 0.636

Properties
- energy of formation (eV per atom) = -2.55
- space-group type = No. 9
- final energy (eV/atom) = -6.96
- ρ (g cm⁻³) = 3.24

Computed, not measured: an optimized crystal structure of In4P6O21 at the GGA-PBE level of DFT.

Unit cell a=13.657 b=9.906 c=13.470 alpha=90.00 beta=108.81 gamma=90.00
Element x y z (fractional)
In1 0.020 0.221 0.018
In2 0.020 0.279 0.518
In3 0.232 0.227 0.720
In4 0.232 0.273 0.220
In5 0.266 0.743 0.778
In6 0.266 0.757 0.278
In7 0.477 0.740 0.480
In8 0.477 0.760 0.980
In9 0.523 0.240 0.020
In10 0.523 0.260 0.520
In11 0.734 0.243 0.722
In12 0.734 0.257 0.222
In13 0.768 0.727 0.780
In14 0.768 0.773 0.280
In15 0.980 0.721 0.482
In16 0.980 0.779 0.982
P1 0.066 0.520 0.702
P2 0.066 0.980 0.202
P3 0.077 0.531 0.170
P4 0.077 0.969 0.670
P5 0.239 0.642 0.517
P6 0.239 0.858 0.017
P7 0.266 0.174 0.989
P8 0.266 0.326 0.489
P9 0.425 0.030 0.326
P10 0.425 0.470 0.826
P11 0.434 0.017 0.805
P12 0.434 0.483 0.305
P13 0.566 0.517 0.695
P14 0.566 0.983 0.195
P15 0.575 0.530 0.174
P16 0.575 0.970 0.674
P17 0.734 0.674 0.511
P18 0.734 0.826 0.011
P19 0.761 0.142 0.983
P20 0.761 0.358 0.483
P21 0.923 0.031 0.330
P22 0.923 0.469 0.830
P23 0.934 0.020 0.798
P24 0.934 0.480 0.298
O1 0.009 0.052 0.275
O2 0.009 0.448 0.775
O3 0.011 0.099 0.886
O4 0.011 0.401 0.386
O5 0.043 0.609 0.069
O6 0.043 0.891 0.569
O7 0.084 0.124 0.651
O8 0.084 0.376 0.151
O9 0.107 0.104 0.157
O10 0.107 0.396 0.657
O11 0.123 0.661 0.461
O12 0.123 0.839 0.961
O13 0.151 0.603 0.778
O14 0.151 0.897 0.278
O15 0.180 0.577 0.248
O16 0.180 0.923 0.748
O17 0.193 0.244 0.044
O18 0.193 0.256 0.544
O19 0.221 0.189 0.871
O20 0.221 0.311 0.371
O21 0.267 0.016 0.020
O22 0.267 0.484 0.520
O23 0.277 0.690 0.630
O24 0.277 0.810 0.130
O25 0.304 0.710 0.454
O26 0.304 0.790 0.954
O27 0.326 0.107 0.275
O28 0.326 0.393 0.775
O29 0.347 0.085 0.719
O30 0.347 0.415 0.219
O31 0.375 0.228 0.041
O32 0.375 0.272 0.541
O33 0.396 0.608 0.864
O34 0.396 0.892 0.364
O35 0.410 0.633 0.324
O36 0.410 0.867 0.824
O37 0.467 0.511 0.732
O38 0.467 0.989 0.232
O39 0.472 0.088 0.909
O40 0.472 0.412 0.409
O41 0.490 0.602 0.090
O42 0.490 0.898 0.590
O43 0.510 0.102 0.410
O44 0.510 0.398 0.910
O45 0.528 0.588 0.591
O46 0.528 0.912 0.091
O47 0.533 0.011 0.768
O48 0.533 0.489 0.268
O49 0.590 0.133 0.176
O50 0.590 0.367 0.676
O51 0.604 0.108 0.636
O52 0.604 0.392 0.136
O53 0.625 0.728 0.459
O54 0.625 0.772 0.959
O55 0.653 0.585 0.781
O56 0.653 0.915 0.281
O57 0.674 0.607 0.225
O58 0.674 0.893 0.725
O59 0.696 0.210 0.046
O60 0.696 0.290 0.546
O61 0.723 0.190 0.870
O62 0.723 0.310 0.370
O63 0.733 0.516 0.480
O64 0.733 0.984 0.980
O65 0.779 0.689 0.629
O66 0.779 0.811 0.129
O67 0.807 0.744 0.456
O68 0.807 0.756 0.956
O69 0.820 0.077 0.252
O70 0.820 0.423 0.752
O71 0.849 0.103 0.722
O72 0.849 0.397 0.222
O73 0.877 0.161 0.039
O74 0.877 0.339 0.539
O75 0.893 0.604 0.343
O76 0.893 0.896 0.843
O77 0.916 0.624 0.849
O78 0.916 0.876 0.349
O79 0.957 0.109 0.431
O80 0.957 0.391 0.931
O81 0.989 0.599 0.614
O82 0.989 0.901 0.114
O83 0.991 0.552 0.225
O84 0.991 0.948 0.725

Properties
- energy of formation (eV per atom) = -2.50
- space-group type = No. 14
- spin magnetization (μB/cell) = 0.000
- final energy (eV/atom) = -6.79
- ρ (g cm⁻³) = 3.78

Computed, not measured: an optimized crystal structure of In4P6Pb2O23 at the GGA-PBE level of DFT.

Unit cell a=6.675 b=8.383 c=9.138 alpha=100.19 beta=103.72 gamma=103.98
Element x y z (fractional)
In1 0.000 0.000 0.000
In2 0.053 0.424 0.898
In3 0.254 0.032 0.523
In4 0.800 0.391 0.376
P1 0.016 0.722 0.689
P2 0.039 0.702 0.209
P3 0.243 0.316 0.292
P4 0.516 0.357 0.862
P5 0.550 0.071 0.041
P6 0.811 0.108 0.607
Pb1 0.492 0.719 0.676
Pb2 0.563 0.704 0.223
O1 0.106 0.262 0.114
O2 0.125 0.598 0.759
O3 0.137 0.414 0.393
O4 0.159 0.619 0.106
O5 0.211 0.859 0.677
O6 0.214 0.792 0.366
O7 0.270 0.152 0.338
O8 0.318 0.979 0.025
O9 0.365 0.265 0.700
O10 0.407 0.469 0.951
O11 0.472 0.436 0.306
O12 0.561 0.222 0.958
O13 0.583 0.988 0.592
O14 0.648 0.949 0.952
O15 0.692 0.147 0.209
O16 0.738 0.463 0.863
O17 0.785 0.271 0.562
O18 0.841 0.631 0.533
O19 0.843 0.564 0.222
O20 0.896 0.805 0.793
O21 0.918 0.010 0.506
O22 0.931 0.826 0.140
O23 0.948 0.162 0.786

Properties
- energy of formation (eV per atom) = -2.46
- space-group type = No. 1
- spin magnetization (μB/cell) = 0.002
- final energy (eV/atom) = -6.71
- ρ (g cm⁻³) = 5.08

Computed, not measured: an optimized crystal structure of Rb3InP2O8 at the GGA-PBE level of DFT.

Unit cell a=10.122 b=11.810 c=19.057 alpha=90.00 beta=121.69 gamma=90.00
Element x y z (fractional)
Rb1 0.044 0.100 0.254
Rb2 0.044 0.400 0.754
Rb3 0.195 0.621 0.491
Rb4 0.195 0.879 0.991
Rb5 0.238 0.106 0.500
Rb6 0.238 0.394 0.000
Rb7 0.285 0.084 0.172
Rb8 0.285 0.416 0.672
Rb9 0.319 0.122 0.917
Rb10 0.319 0.378 0.417
Rb11 0.428 0.136 0.743
Rb12 0.428 0.364 0.243
Rb13 0.572 0.636 0.757
Rb14 0.572 0.864 0.257
Rb15 0.681 0.622 0.583
Rb16 0.681 0.878 0.083
Rb17 0.715 0.584 0.328
Rb18 0.715 0.916 0.828
Rb19 0.762 0.606 0.000
Rb20 0.762 0.894 0.500
Rb21 0.805 0.121 0.009
Rb22 0.805 0.379 0.509
Rb23 0.956 0.600 0.246
Rb24 0.956 0.900 0.746
In1 0.209 0.631 0.132
In2 0.209 0.869 0.632
In3 0.313 0.653 0.886
In4 0.313 0.847 0.386
In5 0.687 0.153 0.614
In6 0.687 0.347 0.114
In7 0.791 0.131 0.368
In8 0.791 0.369 0.868
P1 0.009 0.134 0.594
P2 0.009 0.366 0.094
P3 0.107 0.658 0.663
P4 0.107 0.842 0.163
P5 0.420 0.638 0.355
P6 0.420 0.862 0.855
P7 0.480 0.121 0.399
P8 0.480 0.379 0.899
P9 0.520 0.621 0.101
P10 0.520 0.879 0.601
P11 0.580 0.138 0.145
P12 0.580 0.362 0.645
P13 0.893 0.158 0.837
P14 0.893 0.342 0.337
P15 0.991 0.634 0.906
P16 0.991 0.866 0.406
O1 0.004 0.066 0.894
O2 0.004 0.434 0.394
O3 0.027 0.722 0.145
O4 0.027 0.778 0.645
O5 0.060 0.652 0.000
O6 0.060 0.848 0.500
O7 0.079 0.246 0.639
O8 0.079 0.254 0.139
O9 0.119 0.589 0.890
O10 0.119 0.911 0.390
O11 0.138 0.041 0.626
O12 0.138 0.459 0.126
O13 0.177 0.619 0.754
O14 0.177 0.881 0.254
O15 0.244 0.680 0.647
O16 0.244 0.820 0.147
O17 0.277 0.656 0.366
O18 0.277 0.844 0.866
O19 0.365 0.200 0.329
O20 0.365 0.300 0.829
O21 0.368 0.605 0.264
O22 0.368 0.895 0.764
O23 0.393 0.019 0.407
O24 0.393 0.481 0.907
O25 0.397 0.573 0.120
O26 0.397 0.927 0.620
O27 0.440 0.691 0.019
O28 0.440 0.809 0.519
O29 0.469 0.045 0.088
O30 0.469 0.455 0.588
O31 0.498 0.242 0.623
O32 0.498 0.258 0.123
O33 0.502 0.742 0.877
O34 0.502 0.758 0.377
O35 0.531 0.545 0.412
O36 0.531 0.955 0.912
O37 0.560 0.191 0.481
O38 0.560 0.309 0.981
O39 0.603 0.073 0.380
O40 0.603 0.427 0.880
O41 0.607 0.519 0.093
O42 0.607 0.981 0.593
O43 0.632 0.105 0.236
O44 0.632 0.395 0.736
O45 0.635 0.700 0.171
O46 0.635 0.800 0.671
O47 0.723 0.156 0.134
O48 0.723 0.344 0.634
O49 0.756 0.180 0.853
O50 0.756 0.320 0.353
O51 0.823 0.119 0.746
O52 0.823 0.381 0.246
O53 0.862 0.541 0.874
O54 0.862 0.959 0.374
O55 0.881 0.089 0.610
O56 0.881 0.411 0.110
O57 0.921 0.746 0.861
O58 0.921 0.754 0.361
O59 0.940 0.152 0.500
O60 0.940 0.348 0.000
O61 0.973 0.222 0.355
O62 0.973 0.278 0.855
O63 0.996 0.566 0.606
O64 0.996 0.934 0.106

Properties
- energy of formation (eV per atom) = -2.55
- space-group type = No. 14
- spin magnetization (μB/cell) = 0.005
- final energy (eV/atom) = -6.17
- ρ (g cm⁻³) = 3.85

Computed, not measured: an optimized crystal structure of RbInP2O8 at the GGA-PBE level of DFT.

Unit cell a=9.870 b=8.655 c=9.762 alpha=90.00 beta=116.53 gamma=90.00
Element x y z (fractional)
Rb1 0.175 0.134 0.088
Rb2 0.175 0.366 0.588
Rb3 0.825 0.634 0.412
Rb4 0.825 0.866 0.912
In1 0.256 0.625 0.992
In2 0.256 0.875 0.492
In3 0.744 0.125 0.508
In4 0.744 0.375 0.008
P1 0.093 0.569 0.234
P2 0.093 0.931 0.734
P3 0.488 0.675 0.827
P4 0.488 0.825 0.327
P5 0.512 0.175 0.673
P6 0.512 0.325 0.173
P7 0.907 0.069 0.266
P8 0.907 0.431 0.766
O1 0.075 0.021 0.320
O2 0.075 0.479 0.820
O3 0.117 0.657 0.109
O4 0.117 0.843 0.609
O5 0.140 0.664 0.381
O6 0.140 0.836 0.881
O7 0.163 0.096 0.768
O8 0.163 0.404 0.268
O9 0.362 0.585 0.844
O10 0.362 0.915 0.344
O11 0.365 0.081 0.620
O12 0.365 0.419 0.120
O13 0.439 0.732 0.660
O14 0.439 0.768 0.160
O15 0.479 0.163 0.096
O16 0.479 0.337 0.596
O17 0.521 0.663 0.404
O18 0.521 0.837 0.904
O19 0.561 0.232 0.840
O20 0.561 0.268 0.340
O21 0.635 0.581 0.880
O22 0.635 0.919 0.380
O23 0.638 0.085 0.656
O24 0.638 0.415 0.156
O25 0.837 0.596 0.732
O26 0.837 0.904 0.232
O27 0.860 0.164 0.119
O28 0.860 0.336 0.619
O29 0.883 0.157 0.391
O30 0.883 0.343 0.891
O31 0.925 0.521 0.180
O32 0.925 0.979 0.680

Properties
- energy of formation (eV per atom) = -2.26
- space-group type = No. 14
- spin magnetization (μB/cell) = 8.002
- final energy (eV/atom) = -6.31
- ρ (g cm⁻³) = 3.47